# Y2Si5Rh3 | the Materials Project database | r2SCAN | relaxed
# - density (g/cm3) = 6.40
# - uncorrected energy (eV per atom) = -16.72
data_Y2Si5Rh3
_chemical_formula_sum 'Y8 Si20 Rh12'
_space_group_name_H-M_alt 'C 1 2/c 1'
_space_group_IT_number 15
_cell_length_a 11.0808
_cell_length_b 11.7606
_cell_length_c 5.6672
_cell_angle_alpha 90.00
_cell_angle_beta 118.18
_cell_angle_gamma 90.00
loop_
_space_group_symop_operation_xyz
'x,y,z'
'-x,-y,-z'
'-x,y,-z+1/2'
'x,-y,z+1/2'
'x+1/2,y+1/2,z'
'-x+1/2,-y+1/2,-z'
'-x+1/2,y+1/2,-z+1/2'
'x+1/2,-y+1/2,z+1/2'
loop_
_atom_site_label
_atom_site_type_symbol
_atom_site_fract_x
_atom_site_fract_y
_atom_site_fract_z
Y1 Y 0.2326 0.1336 0.2384
Si1 Si 0.0000 0.0115 0.2500
Si2 Si 0.0000 0.2757 0.2500
Si3 Si 0.0000 0.2888 0.7500
Si4 Si 0.1610 0.3953 0.1605
Rh1 Rh 0.0000 0.4977 0.7500
Rh2 Rh 0.1012 0.1395 0.6261